# TmGa3 meta-GGA r2SCAN optimized geometry
data_TmGa3
_chemical_formula_sum 'Tm2 Ga6'
_cell_length_a 6.1709
_cell_length_b 6.1709
_cell_length_c 4.4782
_cell_angle_alpha 90.00
_cell_angle_beta 90.00
_cell_angle_gamma 120.00
_space_group_name_H-M_alt 'P 63/m m c'
_space_group_IT_number 194
_space_group_name_Hall '-P 6c 2c'
loop_
_atom_site_label
_atom_site_type_symbol
_atom_site_fract_x
_atom_site_fract_y
_atom_site_fract_z
Tm1 Tm 0.3333 0.6667 0.2500
Ga1 Ga 0.1478 0.2955 0.7500
# Magnetic moment: 0.000 μB/atom
# Final energy: -17.908 eV per atom

=====

# Tm2ZnGa meta-GGA r2SCAN optimized geometry
data_Tm2ZnGa
_chemical_formula_sum 'Tm8 Zn4 Ga4'
_cell_length_a 6.982
_cell_length_b 6.982
_cell_length_c 6.982
_cell_angle_alpha 90.00
_cell_angle_beta 90.00
_cell_angle_gamma 90.00
_space_group_name_H-M_alt 'F m -3 m'
_space_group_IT_number 225
_space_group_name_Hall '-F 4 2 3'
loop_
_atom_site_label
_atom_site_type_symbol
_atom_site_fract_x
_atom_site_fract_y
_atom_site_fract_z
Tm1 Tm 0.250 0.250 0.250
Zn1 Zn 0.000 0.000 0.000
Ga1 Ga 0.000 0.000 0.500
# Magnetic moment: 0.000 μB/atom
# Final energy: -23.194 eV per atom

=====

# UGa3 meta-GGA r2SCAN optimized geometry
data_UGa3
_chemical_formula_sum 'U1 Ga3'
_cell_length_a 4.269
_cell_length_b 4.269
_cell_length_c 4.269
_cell_angle_alpha 90.00
_cell_angle_beta 90.00
_cell_angle_gamma 90.00
_space_group_name_H-M_alt 'P m -3 m'
_space_group_IT_number 221
_space_group_name_Hall '-P 4 2 3'
loop_
_atom_site_label
_atom_site_type_symbol
_atom_site_fract_x
_atom_site_fract_y
_atom_site_fract_z
U1 U 0.000 0.000 0.000
Ga1 Ga 0.000 0.500 0.500
# Magnetic moment: 0.622 μB/atom
# Final energy: -28.955 eV per atom

=====

# V8Ga41 meta-GGA r2SCAN optimized geometry
data_V8Ga41
_chemical_formula_sum 'V24 Ga123'
_cell_length_a 13.8435
_cell_length_b 13.8435
_cell_length_c 14.7771
_cell_angle_alpha 90.00
_cell_angle_beta 90.00
_cell_angle_gamma 120.00
_space_group_name_H-M_alt 'R -3'
_space_group_IT_number 148
_space_group_name_Hall '-R 3'
loop_
_atom_site_label
_atom_site_type_symbol
_atom_site_fract_x
_atom_site_fract_y
_atom_site_fract_z
V1 V 0.0000 0.0000 0.1849
V2 V 0.0140 0.3103 0.5988
Ga1 Ga 0.0000 0.0000 0.0000
Ga2 Ga 0.0000 0.0000 0.5000
Ga3 Ga 0.9999 0.1815 0.2168
Ga4 Ga 0.0000 0.5000 0.0000
Ga5 Ga 0.0074 0.1232 0.6647
Ga6 Ga 0.0084 0.3212 0.7672
Ga7 Ga 0.0123 0.8426 0.1134
Ga8 Ga 0.0125 0.4839 0.6604
Ga9 Ga 0.0908 0.5545 0.1699
# Magnetic moment: 0.000 μB/atom
# Final energy: -12.050 eV per atom